Entry 1:
DFT (PBE+U) results for a geometry-optimized MgMn4O8 structure.

Geometry as POSCAR:
```
MgMn4O8
1.0
-0.084 -1.423 2.725
6.657 -1.320 1.246
0.554 5.227 4.486
Mg Mn O
1 4 8
Direct
0.500 0.000 0.000 Mg
0.647 0.182 0.523 Mn
0.170 0.478 0.182 Mn
0.830 0.522 0.818 Mn
0.353 0.818 0.477 Mn
0.836 0.713 0.616 O
0.451 0.384 0.713 O
0.549 0.616 0.287 O
0.164 0.287 0.384 O
0.142 0.039 0.678 O
0.819 0.322 0.039 O
0.858 0.961 0.322 O
0.181 0.678 0.961 O
```

Values from the calculation:
Uncorrected energy ... -89.7 eV/cell
Space-group type ... C2/m, No. 12
Total magnetic moment ... 14.00 μB/f.u.

---

Entry 2:
DFT (PBE+U) results for a geometry-optimized Na4MnAl3Si3O16 structure.

Geometry as POSCAR:
```
Na4MnAl3Si3O16
1.0
-0.307 -8.514 -3.652
-0.850 -3.570 8.396
-9.169 0.615 -0.663
Na Mn Al Si O
8 2 6 6 32
Direct
0.775 0.773 0.272 Na
0.775 0.227 0.728 Na
0.726 0.725 0.777 Na
0.726 0.275 0.223 Na
0.271 0.729 0.228 Na
0.271 0.271 0.772 Na
0.221 0.777 0.724 Na
0.221 0.223 0.276 Na
0.030 0.000 0.500 Mn
0.481 0.500 0.000 Mn
0.002 0.751 0.001 Al
0.002 0.249 0.999 Al
0.750 0.500 0.500 Al
0.502 0.001 0.751 Al
0.502 0.999 0.249 Al
0.249 0.500 0.500 Al
0.999 0.500 0.251 Si
0.999 0.500 0.749 Si
0.751 0.000 0.000 Si
0.500 0.250 0.499 Si
0.500 0.750 0.501 Si
0.253 0.000 0.000 Si
0.963 0.356 0.152 O
0.963 0.644 0.848 O
0.852 0.536 0.344 O
0.852 0.464 0.656 O
0.849 0.856 0.037 O
0.849 0.144 0.963 O
0.657 0.965 0.854 O
0.657 0.035 0.146 O
0.643 0.653 0.539 O
0.643 0.347 0.461 O
0.581 0.645 0.995 O
0.581 0.355 0.005 O
0.540 0.846 0.357 O
0.540 0.154 0.643 O
0.463 0.846 0.646 O
0.463 0.154 0.354 O
0.380 0.503 0.143 O
0.380 0.497 0.857 O
0.354 0.655 0.465 O
0.354 0.345 0.535 O
0.352 0.961 0.142 O
0.352 0.039 0.858 O
0.156 0.855 0.963 O
0.156 0.145 0.037 O
0.139 0.539 0.650 O
0.139 0.461 0.350 O
0.132 0.041 0.637 O
0.132 0.959 0.363 O
0.036 0.647 0.157 O
0.036 0.353 0.843 O
0.929 0.862 0.541 O
0.929 0.138 0.459 O
```

Values from the calculation:
Uncorrected energy ... -366.5 eV/cell
Space-group type ... P2, No. 3
Total magnetic moment ... 0.00 μB/f.u.